# 1
Entry from the Materials Project database: Er2ZnTc after structural relaxation (GGA-PBE).

Calculated volume in Å³ per atom: 20.703
Formation enthalpy at 0 K in meV/atom: -186

Unit cell a=4.8925 b=4.8925 c=4.8925 alpha=60.00 beta=60.00 gamma=60.00
With the nearest neighbours (Å) after each atom.
Positions (direct):
Er 0.2500 0.2500 0.2500  4 Tc 3.00, 4 Zn 3.00
Er 0.7500 0.7500 0.7500  4 Tc 3.00, 4 Zn 3.00
Zn 0.0000 0.0000 0.0000  8 Er 3.00
Tc 0.5000 0.5000 0.5000  8 Er 3.00

=====

# 2
Entry from the Materials Project database: Cr3RhN after structural relaxation (GGA-PBE).

Calculated volume in Å³ per atom: 11.143
Formation enthalpy at 0 K in meV/atom: -306

Unit cell a=3.8194 b=3.8194 c=3.8194 alpha=90.00 beta=90.00 gamma=90.00
With the nearest neighbours (Å) after each atom.
Positions (direct):
Cr 0.0000 0.0000 0.5000  2 N 1.91
Cr 0.0000 0.5000 0.0000  2 N 1.91
Cr 0.5000 0.0000 0.0000  2 N 1.91
Rh 0.5000 0.5000 0.5000  12 Cr 2.70
N 0.0000 0.0000 0.0000  6 Cr 1.91

=====

# 3
Entry from the Materials Project database: Mg6NiC after structural relaxation (GGA-PBE).

Calculated volume in Å³ per atom: 17.501
Offset from the most stable computed form in meV/atom: 25
Formation enthalpy at 0 K in meV/atom: 293

Unit cell a=3.7757 b=6.1017 c=6.1017 alpha=84.85 beta=90.00 gamma=90.00
With the nearest neighbours (Å) after each atom.
Positions (direct):
Mg 0.0000 0.0000 0.0000  2 C 2.38, 2 Ni 2.59
Mg 0.0000 0.3810 0.3810  2 Ni 2.51
Mg 0.0000 0.5272 0.8813  2 C 2.68, 3 Mg 2.92-2.94
Mg 0.0000 0.8813 0.5272  2 C 2.68, 3 Mg 2.92-2.94
Mg 0.5000 0.1950 0.6954  1 C 2.27
Mg 0.5000 0.6954 0.1950  1 C 2.27
Ni 0.5000 0.1974 0.1974  4 Mg 2.51-2.59
C 0.5000 0.8394 0.8394  4 Mg 2.27-2.38

=====

# 4
Entry from the Materials Project database: Na10Y6Nb2Si7S5O48 after structural relaxation (GGA-PBE).

Calculated volume in Å³ per atom: 14.904
Formation enthalpy at 0 K in meV/atom: -2846

Unit cell a=9.3360 b=16.0987 c=23.2047 alpha=90.17 beta=90.02 gamma=90.04
With the nearest neighbours (Å) after each atom.
Positions (direct):
Na 0.0000 0.0000 0.0000  5 O 2.38-2.64
Na 0.0041 0.3067 0.6721  4 O 2.34-2.60
Na 0.0102 0.3239 0.3163  2 O 2.29-2.49
Na 0.0140 0.9641 0.3269  4 O 2.43-2.65
Na 0.1266 0.8061 0.1706  4 O 2.35-2.61
Na 0.1305 0.4990 0.4998  5 O 2.36-2.64
Na 0.1410 0.1520 0.1644  6 O 2.50-2.77
Na 0.1645 0.1503 0.8217  4 O 2.39-2.64
Na 0.2894 0.3293 0.7436  3 O 2.46-2.61
Na 0.3029 0.6293 0.0814  3 O 2.34-2.54
Na 0.3085 0.9733 0.4111  4 O 2.42-2.68
Na 0.3123 0.9765 0.9086  5 O 2.46-2.68
Na 0.3180 0.3346 0.2455  5 O 2.53-2.74
Na 0.3412 0.6424 0.5785  4 O 2.45-2.73
Na 0.4264 0.1453 0.3260  4 O 2.36-2.62
Na 0.4860 0.1430 0.6526  3 O 2.44-2.65
Na 0.4971 0.1279 0.9936  3 O 2.35-2.60
Na 0.5174 0.4904 0.9992  4 O 2.35-2.60
Na 0.6123 0.9939 0.5008  5 O 2.34-2.61
Na 0.6337 0.6287 0.4952  3 O 2.34-2.44
Na 0.6451 0.6422 0.1513  3 O 2.45-2.65
Na 0.6543 0.9656 0.8193  7 O 2.52-2.78
Na 0.7888 0.1425 0.0797  3 O 2.36-2.57
Na 0.7965 0.4834 0.4085  5 O 2.47-2.69
Na 0.8193 0.4698 0.9104  3 O 2.36-2.64
Na 0.8234 0.1318 0.5807  4 O 2.36-2.56
Na 0.8240 0.8244 0.7417  6 O 2.55-2.75
Na 0.8305 0.8152 0.2391  6 O 2.55-2.82
Na 0.9661 0.6481 0.3193  4 O 2.41-2.70
Na 0.9873 0.6473 0.6564  4 O 2.49-2.63
Y 0.3003 0.6365 0.2239  4 O 2.08-2.22
Y 0.3063 0.9773 0.2570  6 O 2.19-2.42
Y 0.3084 0.9846 0.7535  6 O 2.19-2.45
Y 0.3085 0.9809 0.5570  6 O 2.12-2.35
Y 0.3137 0.3138 0.8889  6 O 2.14-2.37
Y 0.3243 0.3116 0.3915  5 O 2.10-2.31
Y 0.3240 0.6437 0.7197  6 O 2.12-2.34
Y 0.3254 0.9832 0.0574  5 O 2.12-2.32
Y 0.3256 0.6505 0.9301  6 O 2.14-2.38
Y 0.8076 0.4840 0.5584  5 O 2.14-2.31
Y 0.8092 0.8079 0.8901  4 O 2.10-2.29
Y 0.8106 0.4879 0.2533  4 O 2.15-2.38
Y 0.8114 0.8088 0.3905  5 O 2.11-2.31
Y 0.8170 0.1440 0.2185  6 O 2.17-2.34
Y 0.8189 0.1499 0.4308  5 O 2.14-2.34
Y 0.8194 0.4811 0.0565  6 O 2.13-2.33
Y 0.8291 0.1402 0.7225  4 O 2.09-2.23
Y 0.8301 0.4774 0.7595  6 O 2.18-2.43
Nb 0.2935 0.6492 0.4315  5 O 1.91-2.14
Nb 0.3282 0.3157 0.5891  6 O 1.93-2.14
Nb 0.3375 0.3061 0.0921  4 O 1.88-2.02
Nb 0.7926 0.8062 0.5922  4 O 1.88-2.03
Nb 0.8044 0.8148 0.0889  6 O 1.93-2.15
Nb 0.8377 0.1501 0.9317  4 O 1.89-2.05
Si 0.0094 0.9748 0.1526  4 O 1.62-1.67
Si 0.1137 0.1466 0.3213  4 O 1.64-1.65
Si 0.1193 0.4753 0.6510  4 O 1.62-1.66
Si 0.1524 0.4971 0.3308  4 O 1.61-1.73
Si 0.1678 0.1382 0.6565  4 O 1.60-1.70
Si 0.1703 0.1675 0.9908  4 O 1.61-1.69
Si 0.1704 0.7967 0.3244  4 O 1.62-1.73
Si 0.4629 0.4659 0.4881  4 O 1.59-1.71
Si 0.4677 0.1335 0.1571  4 O 1.61-1.72
Si 0.4717 0.1617 0.4885  4 O 1.62-1.74
Si 0.5114 0.4780 0.1519  4 O 1.62-1.69
Si 0.5106 0.8108 0.4873  4 O 1.59-1.75
Si 0.6182 0.3100 0.9868  4 O 1.60-1.75
Si 0.6176 0.9773 0.6559  4 O 1.62-1.70
Si 0.6616 0.6616 0.9914  4 O 1.60-1.72
Si 0.6684 0.6313 0.6555  4 O 1.62-1.72
Si 0.6692 0.9640 0.9844  4 O 1.61-1.72
Si 0.9586 0.2979 0.8239  4 O 1.61-1.75
Si 0.9619 0.6661 0.4914  4 O 1.61-1.69
Si 0.9633 0.6381 0.1569  4 O 1.60-1.71
Si 0.9712 0.9967 0.8298  4 O 1.62-1.73
S 0.0227 0.6468 0.8229  4 O 1.48-1.49
S 0.0262 0.3110 0.4951  4 O 1.47-1.50
S 0.1037 0.8100 0.9950  4 O 1.47-1.50
S 0.1492 0.8283 0.6562  4 O 1.46-1.51
S 0.1771 0.4587 0.9928  4 O 1.46-1.51
S 0.4604 0.7998 0.8236  4 O 1.47-1.50
S 0.4679 0.4982 0.8259  4 O 1.47-1.50
S 0.4766 0.8290 0.1564  4 O 1.47-1.51
S 0.5257 0.1440 0.8256  4 O 1.47-1.51
S 0.6042 0.6446 0.3258  4 O 1.47-1.51
S 0.6556 0.3304 0.6569  4 O 1.47-1.51
S 0.6682 0.9991 0.3262  4 O 1.48-1.49
S 0.6740 0.2962 0.3237  4 O 1.47-1.49
S 0.9531 0.9570 0.4916  4 O 1.46-1.50
S 0.9808 0.3299 0.1576  4 O 1.46-1.50
O 0.0010 0.1389 0.3757  1 Si 1.65
O 0.0093 0.8047 0.0474  1 S 1.50
O 0.0108 0.4473 0.7036  1 Si 1.65
O 0.0140 0.8202 0.9434  1 S 1.47
O 0.0233 0.1561 0.2612  1 Si 1.64
O 0.0228 0.4712 0.9986  1 S 1.46
O 0.0272 0.4887 0.5925  1 Si 1.62
O 0.1045 0.9504 0.2105  1 Si 1.66
O 0.1074 0.6481 0.7686  1 S 1.49
O 0.1074 0.9689 0.4975  1 S 1.46
O 0.1101 0.3167 0.4415  1 S 1.47
O 0.1145 0.9814 0.0973  1 Si 1.62
O 0.1215 0.6472 0.8735  1 S 1.49
O 0.1259 0.3086 0.5459  1 S 1.50
O 0.1327 0.6615 0.1581  1 Si 1.63
O 0.1346 0.2973 0.8264  1 Si 1.64
O 0.1399 0.3215 0.1536  1 S 1.49
O 0.1426 0.6620 0.4877  1 Si 1.69
O 0.1469 0.0020 0.8277  1 Si 1.64
O 0.1827 0.8786 0.7080  1 S 1.48
O 0.1913 0.7334 0.9929  1 S 1.48
O 0.1980 0.8838 0.9988  1 S 1.48
O 0.2030 0.0738 0.6057  1 Si 1.60
O 0.2050 0.4161 0.9378  1 S 1.47
O 0.2056 0.7412 0.6624  1 S 1.51
O 0.2073 0.7473 0.2656  1 Si 1.62
O 0.2081 0.5613 0.6623  1 Si 1.63
O 0.2101 0.4024 0.3338  1 Si 1.62
O 0.2103 0.5426 0.2735  1 Si 1.61
O 0.2103 0.5581 0.3878  1 Si 1.73
O 0.2104 0.8646 0.6039  1 S 1.46
O 0.2122 0.0612 0.3211  1 Si 1.65
O 0.2118 0.2268 0.0471  1 Si 1.66
O 0.2187 0.2283 0.3252  1 Si 1.64
O 0.2228 0.0714 0.9958  1 Si 1.63
O 0.2275 0.3938 0.6436  1 Si 1.66
O 0.2289 0.7343 0.3805  1 Si 1.73, 1 Nb 1.91
O 0.2380 0.2052 0.9329  1 Si 1.61
O 0.2392 0.4105 0.0416  1 S 1.49
O 0.2397 0.1033 0.7170  1 Si 1.66
O 0.2412 0.8884 0.3292  1 Si 1.62
O 0.2536 0.5413 0.9928  1 S 1.51
O 0.2552 0.2294 0.6444  1 Si 1.70
O 0.3758 0.5567 0.4888  1 Si 1.67
O 0.3779 0.2264 0.1498  1 Si 1.72, 1 Nb 1.90
O 0.3907 0.0903 0.2126  1 Si 1.63
O 0.3960 0.4104 0.5447  1 Si 1.71
O 0.3991 0.0698 0.4940  1 Si 1.63
O 0.3994 0.3972 0.1408  1 Si 1.69
O 0.3986 0.8851 0.8244  1 S 1.49
O 0.4006 0.4143 0.8232  1 S 1.49
O 0.4034 0.8864 0.4973  1 Si 1.59
O 0.4111 0.5460 0.7764  1 S 1.48
O 0.4109 0.8672 0.1051  1 S 1.47
O 0.4123 0.2302 0.5414  1 Si 1.74, 1 Nb 1.93
O 0.4132 0.7531 0.7725  1 S 1.47
O 0.4133 0.7560 0.8768  1 S 1.49
O 0.4202 0.5643 0.1581  1 Si 1.64
O 0.4218 0.2139 0.8281  1 S 1.49
O 0.4229 0.4138 0.4320  1 Si 1.59
O 0.4228 0.7432 0.1624  1 S 1.48
O 0.4270 0.5416 0.8806  1 S 1.50
O 0.4295 0.2013 0.4266  1 Si 1.62
O 0.4324 0.0838 0.0980  1 Si 1.62
O 0.4322 0.7194 0.4806  1 Si 1.65
O 0.4418 0.0637 0.8250  1 S 1.51
O 0.4523 0.8798 0.2085  1 S 1.48
O 0.4852 0.6536 0.9965  1 Si 1.66
O 0.4954 0.3236 0.6493  1 S 1.51
O 0.4990 0.9820 0.9913  1 Si 1.62
O 0.5003 0.6530 0.6622  1 Si 1.62
O 0.5009 0.2960 0.0450  1 Si 1.75, 1 Nb 1.88
O 0.5093 0.3299 0.9354  1 Si 1.60
O 0.5110 0.9854 0.6011  1 Si 1.62
O 0.5113 0.9904 0.3205  1 S 1.48
O 0.5124 0.6432 0.3782  1 S 1.49
O 0.5159 0.3058 0.3246  1 S 1.48
O 0.5207 0.6497 0.2721  1 S 1.47
O 0.5271 0.9628 0.7159  1 Si 1.65
O 0.6085 0.1515 0.7719  1 S 1.47
O 0.6082 0.4877 0.0944  1 Si 1.62
O 0.6136 0.4628 0.2081  1 Si 1.64
O 0.6190 0.8318 0.4359  1 Si 1.60
O 0.6203 0.1404 0.8773  1 S 1.49
O 0.6204 0.8075 0.8218  1 S 1.50
O 0.6252 0.4923 0.8230  1 S 1.47
O 0.6290 0.7965 0.5451  1 Si 1.75, 1 Nb 1.88
O 0.6337 0.4835 0.4925  1 Si 1.62
O 0.6350 0.1564 0.1601  1 Si 1.61
O 0.6370 0.8238 0.1493  1 S 1.51
O 0.6457 0.1519 0.4980  1 Si 1.65
O 0.6798 0.3816 0.7088  1 S 1.47
O 0.6942 0.5878 0.5933  1 Si 1.62
O 0.6963 0.5685 0.3262  1 S 1.50
O 0.6970 0.0449 0.3809  1 S 1.49
O 0.6971 0.2185 0.9805  1 Si 1.65
O 0.7025 0.9155 0.9252  1 Si 1.61
O 0.7043 0.7180 0.3264  1 S 1.51
O 0.7086 0.0642 0.6581  1 Si 1.64
O 0.7086 0.2442 0.6628  1 S 1.48
O 0.7098 0.2448 0.2731  1 S 1.47
O 0.7141 0.7082 0.9343  1 Si 1.60
O 0.7135 0.7248 0.0478  1 Si 1.72, 1 Nb 1.93
O 0.7217 0.3678 0.6054  1 S 1.48
O 0.7261 0.2543 0.3770  1 S 1.49
O 0.7275 0.0459 0.2768  1 S 1.48
O 0.7267 0.3854 0.9965  1 Si 1.60
O 0.7290 0.5687 0.9937  1 Si 1.62
O 0.7301 0.8971 0.6413  1 Si 1.70
O 0.7396 0.9048 0.0390  1 Si 1.72
O 0.7424 0.9171 0.3259  1 S 1.49
O 0.7488 0.3777 0.3207  1 S 1.49
O 0.7523 0.7264 0.6502  1 Si 1.72, 1 Nb 1.90
O 0.7557 0.0546 0.9879  1 Si 1.67
O 0.7579 0.5844 0.7059  1 Si 1.62
O 0.8752 0.0384 0.4948  1 S 1.50
O 0.8798 0.7307 0.1454  1 Si 1.71
O 0.8845 0.3881 0.8298  1 Si 1.61
O 0.8877 0.6057 0.2174  1 Si 1.66
O 0.8928 0.9043 0.5384  1 S 1.49
O 0.8965 0.7038 0.4329  1 Si 1.61
O 0.8970 0.0431 0.7756  1 Si 1.62
O 0.8985 0.2340 0.8801  1 Si 1.75, 1 Nb 1.89
O 0.9013 0.8935 0.1431  1 Si 1.67
O 0.9008 0.9044 0.8313  1 Si 1.62
O 0.9075 0.5707 0.4957  1 Si 1.62
O 0.9163 0.2500 0.7649  1 Si 1.62
O 0.9184 0.0572 0.8880  1 Si 1.73
O 0.9180 0.7253 0.5475  1 Si 1.66
O 0.9186 0.0605 0.1571  1 Si 1.62
O 0.9198 0.2439 0.1583  1 S 1.50
O 0.9216 0.3736 0.1079  1 S 1.46
O 0.9242 0.5742 0.1062  1 Si 1.60
O 0.9254 0.9185 0.4344  1 S 1.49
O 0.9302 0.7216 0.8233  1 S 1.48
O 0.9340 0.3854 0.4985  1 S 1.48
O 0.9342 0.5701 0.8249  1 S 1.49
O 0.9374 0.2348 0.4967  1 S 1.48
O 0.9474 0.3744 0.2129  1 S 1.50
O 0.9754 0.4994 0.3306  1 Si 1.65
O 0.9893 0.1626 0.9872  1 Si 1.69
O 0.9897 0.8203 0.6521  1 S 1.50
O 0.9936 0.8051 0.3270  1 Si 1.66
O 0.9988 0.1628 0.6577  1 Si 1.63

=====

# 5
Entry from the Materials Project database: ThSe2 after structural relaxation (GGA-PBE).

Calculated volume in Å³ per atom: 25.842
Formation enthalpy at 0 K in meV/atom: -2045

Unit cell a=7.6377 b=4.4523 c=9.1192 alpha=90.00 beta=90.00 gamma=90.00
With the nearest neighbours (Å) after each atom.
Positions (direct):
Th 0.2503 0.2500 0.1214  7 Se 2.94-3.11
Th 0.2497 0.7500 0.6214  7 Se 2.94-3.11
Th 0.7503 0.2500 0.3786  7 Se 2.94-3.11
Th 0.7497 0.7500 0.8786  7 Se 2.94-3.11
Se 0.0291 0.2500 0.8360  5 Th 3.10-3.41
Se 0.1398 0.2500 0.4302  4 Th 2.94-3.01
Se 0.3602 0.7500 0.9302  4 Th 2.94-3.01
Se 0.4709 0.7500 0.3360  5 Th 3.10-3.41
Se 0.5291 0.2500 0.6640  5 Th 3.10-3.41
Se 0.6398 0.2500 0.0698  4 Th 2.94-3.01
Se 0.8602 0.7500 0.5698  4 Th 2.94-3.01
Se 0.9709 0.7500 0.1640  5 Th 3.10-3.41

=====

# 6
Entry from the Materials Project database: LiHo2CuSi4O12 after structural relaxation (GGA-PBE).

Calculated volume in Å³ per atom: 12.505
Offset from the most stable computed form in meV/atom: 3
Formation enthalpy at 0 K in meV/atom: -3166

Unit cell a=5.0094 b=7.1804 c=7.9636 alpha=63.74 beta=85.35 gamma=76.87
With the nearest neighbours (Å) after each atom.
Positions (direct):
Li 0.0000 0.0000 0.0000  6 O 2.07-2.23
Ho 0.4881 0.2148 0.5724  6 O 2.21-2.38
Ho 0.5119 0.7852 0.4276  6 O 2.21-2.38
Cu 0.5000 0.0000 0.0000  4 O 2.13-2.22
Si 0.0729 0.8132 0.7794  4 O 1.63-1.67
Si 0.0812 0.5959 0.2131  4 O 1.63-1.67
Si 0.9188 0.4041 0.7869  4 O 1.63-1.67
Si 0.9271 0.1868 0.2206  4 O 1.63-1.67
O 0.0182 0.3590 0.2764  2 Si 1.65
O 0.1939 0.0117 0.2140  1 Si 1.63
O 0.1958 0.2275 0.7959  1 Si 1.63
O 0.2035 0.6916 0.9974  2 Si 1.67
O 0.3031 0.9145 0.6315  1 Si 1.63
O 0.3111 0.5556 0.3653  1 Si 1.63
O 0.6889 0.4444 0.6347  1 Si 1.63
O 0.6969 0.0855 0.3685  1 Si 1.63
O 0.7965 0.3084 0.0026  2 Si 1.67
O 0.8042 0.7725 0.2041  1 Si 1.63
O 0.8061 0.9883 0.7860  1 Si 1.63
O 0.9818 0.6410 0.7236  2 Si 1.65

=====

# 7
Entry from the Materials Project database: Sr3Sn2As4 after structural relaxation (GGA-PBE).

Calculated volume in Å³ per atom: 30.584
Formation enthalpy at 0 K in meV/atom: -803

Unit cell a=7.8125 b=19.4240 c=7.8131 alpha=90.00 beta=111.78 gamma=90.00
With the nearest neighbours (Å) after each atom.
Positions (direct):
Sr 0.2116 0.1825 0.0104  6 As 3.21-3.32
Sr 0.2116 0.3175 0.5104  6 As 3.21-3.32
Sr 0.2586 0.0597 0.5111  6 As 3.22-3.36, 1 Sn 3.57
Sr 0.2586 0.4403 0.0111  6 As 3.22-3.36, 1 Sn 3.57
Sr 0.2631 0.5614 0.5047  6 As 3.16-3.36
Sr 0.2631 0.9386 0.0047  6 As 3.16-3.36
Sr 0.7369 0.0614 0.9953  6 As 3.16-3.36
Sr 0.7369 0.4386 0.4953  6 As 3.16-3.36
Sr 0.7414 0.5597 0.9889  6 As 3.22-3.36, 1 Sn 3.57
Sr 0.7414 0.9403 0.4889  6 As 3.22-3.36, 1 Sn 3.57
Sr 0.7884 0.6825 0.4896  6 As 3.21-3.32
Sr 0.7884 0.8175 0.9896  6 As 3.21-3.32
Sn 0.2076 0.6224 0.0289  3 As 2.60-2.71, 1 Sn 2.80
Sn 0.2076 0.8776 0.5289  3 As 2.60-2.71, 1 Sn 2.80
Sn 0.3218 0.7440 0.9098  3 As 2.66-2.69, 1 Sn 2.80
Sn 0.3218 0.7560 0.4098  3 As 2.66-2.69, 1 Sn 2.80
Sn 0.6782 0.2440 0.5902  3 As 2.66-2.69, 1 Sn 2.80
Sn 0.6782 0.2560 0.0902  3 As 2.66-2.69, 1 Sn 2.80
Sn 0.7924 0.1224 0.4711  3 As 2.60-2.71, 1 Sn 2.80
Sn 0.7924 0.3776 0.9711  3 As 2.60-2.71, 1 Sn 2.80
As 0.0042 0.0547 0.7595  1 Sn 2.60
As 0.0042 0.4453 0.2595  1 Sn 2.60
As 0.0231 0.6826 0.2219  2 Sn 2.66-2.71
As 0.0231 0.8174 0.7219  2 Sn 2.66-2.71
As 0.4736 0.1945 0.7729  2 Sn 2.68-2.69
As 0.4736 0.3055 0.2729  2 Sn 2.68-2.69
As 0.4907 0.0634 0.2466  1 Sn 2.62
As 0.4907 0.4366 0.7466  1 Sn 2.62
As 0.5093 0.5634 0.2534  1 Sn 2.62
As 0.5093 0.9366 0.7534  1 Sn 2.62
As 0.5264 0.6945 0.7271  2 Sn 2.68-2.69
As 0.5264 0.8055 0.2271  2 Sn 2.68-2.69
As 0.9769 0.1826 0.2781  2 Sn 2.66-2.71
As 0.9769 0.3174 0.7781  2 Sn 2.66-2.71
As 0.9958 0.5547 0.7405  1 Sn 2.60
As 0.9958 0.9453 0.2405  1 Sn 2.60

=====

# 8
Entry from the Materials Project database: LaSi2Au2 after structural relaxation (GGA-PBE).

Calculated volume in Å³ per atom: 19.895
Formation enthalpy at 0 K in meV/atom: -656

Unit cell a=6.0308 b=6.0308 c=6.0308 alpha=137.36 beta=137.36 gamma=61.89
With the nearest neighbours (Å) after each atom.
Positions (direct):
La 0.0000 0.0000 0.0000  8 Si 3.32, 8 Au 3.39
Si 0.3856 0.3856 0.0000  1 Si 2.37, 4 Au 2.60
Si 0.6144 0.6144 0.0000  1 Si 2.37, 4 Au 2.60
Au 0.2500 0.7500 0.5000  4 Si 2.60
Au 0.7500 0.2500 0.5000  4 Si 2.60

=====

Uncorrected energy per entry: -5.3752, -9.1658, -2.7837, -7.1459, -6.5322, -7.5665, -4.3283, -5.1227 eV/atom